Compound: Li8MnFe7B8O24
Source: the Materials Project database
Functional: GGA+U
Structure: relaxed

Output
- SG: P1, No. 1
- Raw total energy: -6.973 eV per atom
- Formation energy from the elements: -2349.1 meV/atom

Lattice parameters (Å, degrees): 5.224 8.167 11.960 102.85 90.58 90.42
Element x y z (fractional)
Li 0.000 0.000 0.000
Li 0.000 0.003 0.499
Li 0.196 0.940 0.294
Li 0.197 0.939 0.794
Li 0.495 0.499 0.750
Li 0.499 0.500 0.249
Li 0.698 0.437 0.543
Li 0.699 0.439 0.046
Mn 0.681 0.798 0.680
Fe 0.018 0.642 0.365
Fe 0.018 0.643 0.866
Fe 0.177 0.296 0.929
Fe 0.187 0.300 0.431
Fe 0.511 0.140 0.115
Fe 0.524 0.141 0.613
Fe 0.686 0.798 0.180
B 0.019 0.313 0.190
B 0.020 0.314 0.689
B 0.179 0.621 0.605
B 0.179 0.625 0.105
B 0.519 0.813 0.438
B 0.522 0.813 0.940
B 0.675 0.128 0.856
B 0.678 0.124 0.353
O 0.028 0.529 0.515
O 0.034 0.529 0.015
O 0.056 0.740 0.191
O 0.064 0.737 0.693
O 0.141 0.198 0.103
O 0.141 0.202 0.601
O 0.162 0.409 0.780
O 0.165 0.409 0.280
O 0.257 0.836 0.434
O 0.260 0.837 0.935
O 0.439 0.594 0.608
O 0.439 0.603 0.111
O 0.528 0.033 0.766
O 0.531 0.028 0.264
O 0.556 0.238 0.441
O 0.557 0.241 0.944
O 0.641 0.699 0.352
O 0.641 0.699 0.853
O 0.662 0.910 0.528
O 0.668 0.910 0.029
O 0.755 0.337 0.684
O 0.758 0.337 0.184
O 0.937 0.102 0.860
O 0.938 0.101 0.360